Record 1
A geometry-optimized Na2InSnP3O12 structure, computed with PBE.

Geometry as extended XYZ:
```
114
Lattice="-7.301 2.659 4.386 6.726 -3.895 4.381 9.595 20.504 3.520" Properties=species:S:1:pos:R:3 pbc="T T T"
Na 2.156 4.677 4.067
Na 6.797 14.592 8.216
Na 10.030 9.327 5.238
Na 5.076 -1.261 5.868
Na 3.878 20.531 6.415
Na -1.077 9.942 7.045
Na 4.206 8.985 10.518
Na 9.577 20.473 3.517
Na 5.353 17.530 7.309
Na 0.555 7.278 5.555
Na 3.632 1.677 4.961
Na 8.429 11.928 6.727
In 2.754 5.991 9.963
In 8.121 17.467 3.037
In 3.902 14.536 6.753
In -0.901 4.272 5.075
In 2.181 -1.318 4.405
In 6.973 8.922 6.246
Sn 6.264 13.286 2.323
Sn 0.897 1.809 9.253
Sn 6.837 20.594 7.881
Sn 2.045 10.354 6.044
Sn 5.116 4.741 5.533
Sn 9.919 15.004 7.215
P 6.965 2.005 6.526
P 2.016 4.256 7.062
P 4.392 4.019 2.179
P 7.049 15.015 5.228
P 11.929 12.615 5.752
P 8.785 13.400 10.120
P 0.812 13.209 7.703
P 3.163 12.801 3.852
P 4.966 11.328 7.736
P -1.973 1.820 7.266
P -3.819 3.315 3.409
P 0.337 1.441 3.391
P 8.686 17.859 8.875
P 11.038 17.451 5.024
P 12.840 15.978 8.908
P 5.901 6.470 8.438
P 4.055 7.965 4.581
P 8.212 6.091 4.562
O 1.576 6.637 2.152
O 2.264 5.359 8.069
O -2.883 8.162 6.194
O 7.404 16.348 4.604
O 5.942 15.959 10.506
O 2.010 18.618 6.504
O 7.401 12.653 10.103
O 6.809 13.881 4.190
O 11.895 11.101 6.169
O 1.665 2.885 7.709
O 3.031 3.322 1.812
O 7.013 0.666 5.708
O 2.150 13.946 7.709
O 3.411 13.904 4.860
O 4.991 12.812 7.365
O -1.618 3.153 6.642
O -2.506 4.001 3.777
O 0.289 2.765 4.156
O -1.046 0.695 3.374
O -2.213 0.686 6.228
O -3.853 1.801 3.826
O 2.813 11.430 4.499
O 3.605 10.631 7.370
O 0.860 11.869 6.884
O 10.024 18.596 8.881
O 11.285 18.554 6.031
O 12.866 17.462 8.537
O 6.256 7.803 7.814
O 5.368 8.651 4.948
O 8.163 7.415 5.328
O 6.828 5.345 4.545
O 5.661 5.336 7.399
O 4.021 6.451 4.998
O 10.687 16.080 5.671
O 11.479 15.281 8.541
O 8.734 16.519 8.056
O 9.367 5.287 5.142
O 4.694 6.727 9.360
O 4.006 8.109 3.047
O 9.954 17.974 4.062
O 14.074 15.344 8.282
O 8.439 17.577 10.369
O -0.355 14.015 7.062
O 4.425 12.490 2.960
O 4.954 11.169 9.307
O -0.831 1.253 8.192
O -5.073 3.934 4.093
O 0.530 1.721 1.849
O 3.214 16.491 6.318
O 5.842 15.271 6.150
O 4.579 15.418 8.605
O 0.933 4.779 6.100
O -1.674 6.045 5.939
O -0.008 5.618 3.640
O 7.519 18.665 8.233
O 4.999 19.799 8.518
O 6.102 19.714 6.098
O 0.317 9.797 4.983
O 2.801 8.584 5.264
O 1.103 9.030 7.406
O 1.493 0.637 3.970
O 4.121 -0.582 3.802
O 2.858 -0.436 6.257
O 8.807 9.429 7.271
O 6.200 10.695 7.111
O 7.866 10.268 4.811
O 5.798 2.811 5.885
O 3.277 3.945 6.170
O 4.381 3.860 3.750
O 8.191 14.447 6.154
O 10.675 13.234 6.436
O 8.978 13.680 8.578
```

Summary:
- Total moment: 0.0 μB/cell
- Electronic total energy: -0.24086 Ha/atom
- Energy of formation from the pure elements: -242.5 kJ/mol of atoms

Record 2
A geometry-optimized Na6Ta3In5P12O48 structure, computed with PBE.

Geometry as extended XYZ:
```
222
Lattice="17.835 -0.006 -0.003 -4.461 7.728 -0.003 -0.004 -0.010 22.747" Properties=species:S:1:pos:R:3 pbc="T T T"
Na 10.522 2.865 5.666
Na -2.795 4.882 5.677
Na -1.641 2.856 16.969
Na 7.279 2.853 16.972
Na -1.176 7.676 16.967
Na 7.742 7.674 16.973
Na -4.457 7.720 11.527
Na 4.451 7.719 11.531
Na 13.362 7.703 0.174
Na 8.931 0.020 0.173
Na 4.390 2.666 19.046
Na 13.303 2.657 19.064
Na 4.451 2.574 7.778
Na 13.434 2.448 7.691
Na 0.113 5.125 3.915
Na 8.871 5.315 3.898
Na 0.162 5.134 15.129
Na 9.079 5.130 15.136
Ta 0.000 0.033 8.087
Ta 4.432 7.689 8.075
Ta 13.359 7.696 19.491
Ta 4.445 7.698 19.482
Ta 4.454 2.587 4.243
Ta 0.009 5.166 0.461
Ta 8.907 5.123 0.438
Ta -0.014 5.147 11.779
Ta 8.903 5.151 11.775
In 13.356 7.689 14.683
In 4.441 7.691 14.684
In 17.792 0.000 3.355
In 4.470 7.723 3.349
In 4.412 2.628 15.484
In 13.331 2.624 15.483
In 13.409 2.485 4.168
In 4.461 2.553 22.327
In 13.377 2.556 22.369
In 4.457 2.565 10.997
In 13.371 2.575 10.970
In 0.065 5.147 7.201
In 8.879 5.194 7.214
In 0.048 5.140 18.618
In 8.969 5.141 18.621
P 2.591 0.026 5.681
P 7.047 7.721 5.696
P 3.178 5.462 5.657
P 12.070 5.470 5.704
P -1.306 2.259 5.705
P 7.587 2.219 5.689
P 1.289 2.225 17.094
P 10.207 2.224 17.090
P 14.650 5.458 17.103
P 5.734 5.459 17.101
P 1.856 7.715 17.079
P 10.775 7.712 17.079
P 7.129 2.589 13.270
P 16.039 2.587 13.266
P 3.141 0.246 13.275
P 12.061 0.250 13.268
P 3.100 4.868 13.215
P 12.019 4.862 13.211
P 5.777 4.816 1.864
P 14.712 4.873 1.897
P 5.740 0.312 1.878
P 14.697 0.253 1.835
P 1.855 2.606 1.873
P 10.716 2.568 1.891
P 2.628 5.154 20.861
P 11.540 5.136 20.857
P -1.300 2.874 20.829
P 7.604 2.856 20.795
P -1.324 7.406 20.814
P 7.588 7.408 20.817
P 1.304 7.416 9.446
P 10.242 7.420 9.451
P 1.312 2.868 9.459
P 10.209 2.864 9.401
P -2.623 5.162 9.399
P 6.279 5.147 9.448
O 1.675 0.219 6.951
O 10.489 0.110 6.931
O 3.787 6.164 6.932
O 12.676 6.282 6.939
O 7.873 1.292 6.936
O 16.949 1.377 6.965
O 0.911 1.317 18.358
O 9.829 1.315 18.352
O 5.167 6.228 18.373
O 14.084 6.229 18.375
O 7.284 0.086 18.348
O 16.204 0.085 18.349
O 2.674 7.538 15.822
O 11.592 7.533 15.822
O 0.662 1.609 15.855
O 9.578 1.607 15.852
O -3.376 6.327 15.870
O 5.542 6.323 15.868
O 3.408 6.272 4.410
O 12.309 6.248 4.430
O -0.748 1.654 4.438
O 8.241 1.641 4.451
O -2.722 7.479 4.456
O 6.255 7.567 4.415
O 6.392 2.864 14.616
O 15.308 2.860 14.616
O 3.747 0.750 14.621
O 12.664 0.751 14.616
O 3.211 4.051 14.519
O 12.131 4.046 14.515
O 5.459 3.889 3.122
O 14.584 4.085 3.224
O 5.089 1.055 3.124
O 14.036 0.764 3.124
O 2.821 2.800 3.127
O 11.460 2.845 3.222
O 2.666 2.394 0.621
O 11.608 2.374 0.687
O 5.196 4.211 0.613
O 14.097 4.201 0.693
O 5.523 1.108 0.615
O 14.458 1.092 0.600
O 3.428 1.136 12.091
O 12.349 1.141 12.084
O 3.714 4.220 11.998
O 12.634 4.218 11.991
O 6.211 2.396 12.088
O 15.119 2.397 12.086
O 1.666 5.350 22.088
O 10.552 5.320 22.058
O -0.624 3.650 22.025
O 8.248 3.629 21.995
O -0.949 6.458 22.013
O 7.921 6.441 22.007
O 0.995 6.482 10.663
O 9.922 6.485 10.667
O 0.657 3.613 10.673
O 9.547 3.637 10.595
O -1.629 5.344 10.601
O 7.242 5.358 10.668
O -1.863 4.984 8.088
O 7.071 4.929 8.181
O 0.723 6.851 8.169
O 9.674 6.841 8.177
O 1.093 3.643 8.181
O 9.991 3.607 8.087
O -1.090 3.616 19.510
O 7.819 3.602 19.480
O -0.803 6.848 19.493
O 8.113 6.852 19.492
O 1.848 4.940 19.581
O 10.778 4.924 19.564
O -3.455 6.505 9.298
O 5.437 6.489 9.316
O 2.884 7.450 9.312
O 11.823 7.483 9.321
O 0.568 1.473 9.351
O 9.462 1.464 9.286
O -0.563 1.476 20.730
O 8.350 1.464 20.716
O -2.903 7.457 20.741
O 6.008 7.468 20.728
O 3.453 6.496 20.743
O 12.365 6.484 20.740
O 8.102 1.416 13.335
O -0.817 1.423 13.335
O 1.637 -0.006 13.344
O 10.557 -0.006 13.338
O 3.643 6.292 13.315
O 12.559 6.287 13.313
O 5.237 6.223 2.029
O -3.618 6.323 1.968
O 7.221 0.058 2.056
O 16.202 0.002 1.933
O 0.897 1.451 2.060
O 9.732 1.396 1.948
O 5.506 1.316 17.088
O 14.424 1.311 17.087
O 2.832 2.246 17.069
O 11.750 2.243 17.066
O 5.077 4.067 17.068
O 13.995 4.065 17.068
O 3.913 4.057 5.506
O 12.823 4.106 5.716
O 6.025 2.321 5.510
O 14.981 2.339 5.726
O 3.451 1.337 5.496
O 12.274 1.345 5.731
O 3.591 3.993 21.005
O 12.512 3.985 21.017
O 6.115 2.618 20.956
O 15.047 2.640 20.995
O 3.675 1.087 20.971
O 12.591 1.088 20.982
O 5.262 1.111 9.620
O 14.176 1.106 9.625
O 2.799 2.605 9.619
O 11.697 2.617 9.585
O 5.316 3.986 9.618
O 14.267 3.981 9.578
O 1.020 3.949 1.729
O 9.823 3.867 1.615
O -1.540 4.970 1.612
O 7.349 4.886 1.725
O 0.539 6.647 1.729
O 9.546 6.555 1.592
O -0.643 6.561 13.005
O 8.282 6.563 13.003
O 1.535 5.006 12.979
O 10.452 4.992 12.970
O -0.919 3.896 13.001
O 8.014 3.886 12.997
O -0.955 6.534 5.828
O 7.966 6.513 5.819
O 1.683 5.212 5.796
O 10.561 5.206 5.828
O -0.747 3.695 5.812
O 8.201 3.609 5.859
O 0.640 3.611 17.221
O 9.558 3.610 17.218
O -1.647 5.301 17.230
O 7.272 5.297 17.228
O 0.880 6.531 17.189
O 9.799 6.528 17.188
```

Summary:
- Total moment: 0.0 μB/cell
- Symmetry: P1
- Electronic total energy: -0.26166 Ha/atom
- Energy of formation from the pure elements: -260.9 kJ/mol of atoms